Below is crystalline Ca3PbSe4 at its relaxed geometry, with properties calculated at the PBE-GGA level.

Computed properties:
**Corrected total energy (MP2020 scheme)**: -0.1779 hartree per atom
**Formation energy**: -1.8758 eV/atom

Cell and atoms, written as POSCAR:
```
Ca3PbSe4
1.0
4.264 0.000 0.000
0.000 6.061 0.000
0.000 0.000 8.567
Ca Pb Se
3 1 4
direct
0.000 0.000 0.000
0.500 0.500 0.248
0.500 0.500 0.752
0.000 0.000 0.500
0.000 0.500 0.000
0.000 0.500 0.500
0.500 0.000 0.240
0.500 0.000 0.760
```

---

Below is crystalline Na3Hf3ZnP5SO24 at its relaxed geometry, with properties calculated at the PBE-GGA level.

Computed properties:
**Total moment**: 0.00 μB per formula unit
**Corrected total energy (MP2020 scheme)**: -0.2915 hartree per atom
**Formation energy**: -2.9298 eV/atom

Cell and atoms, written as POSCAR:
```
Na3Hf3ZnP5SO24
1.0
8.864 0.000 0.000
-4.427 7.680 0.000
-0.035 -0.028 23.041
Na Hf Zn P S O
9 9 3 15 3 72
direct
0.000 0.000 0.000
0.002 0.005 0.496
0.032 0.339 0.084
0.334 0.671 0.667
0.336 0.682 0.168
0.364 0.004 0.749
0.663 0.347 0.327
0.670 0.355 0.829
0.976 0.324 0.409
0.001 0.016 0.642
0.336 0.684 0.514
0.345 0.694 0.015
0.661 0.349 0.976
0.662 0.347 0.476
0.672 0.352 0.682
0.673 0.347 0.181
0.999 0.008 0.848
0.999 0.013 0.347
0.003 0.015 0.143
0.326 0.672 0.313
0.347 0.682 0.810
0.004 0.722 0.745
0.008 0.311 0.243
0.045 0.682 0.411
0.290 0.309 0.745
0.335 0.972 0.909
0.337 0.392 0.410
0.373 0.345 0.079
0.376 0.055 0.579
0.622 0.968 0.409
0.624 0.681 0.910
0.668 0.639 0.578
0.670 0.058 0.078
0.709 0.012 0.745
0.959 0.643 0.078
0.960 0.348 0.577
0.043 0.390 0.911
0.292 0.010 0.244
0.706 0.723 0.243
0.022 0.844 0.404
0.025 0.214 0.906
0.026 0.225 0.188
0.028 0.838 0.691
0.116 0.639 0.357
0.120 0.496 0.860
0.136 0.645 0.070
0.142 0.511 0.571
0.148 0.469 0.966
0.156 0.709 0.466
0.166 0.493 0.250
0.167 0.208 0.404
0.168 0.710 0.750
0.172 0.994 0.906
0.180 0.215 0.691
0.188 0.988 0.192
0.191 0.187 0.083
0.194 0.037 0.585
0.206 0.186 0.799
0.208 0.038 0.297
0.300 0.472 0.465
0.308 0.857 0.964
0.309 0.487 0.750
0.316 0.861 0.251
0.353 0.509 0.071
0.359 0.875 0.572
0.363 0.897 0.853
0.368 0.499 0.356
0.465 0.170 0.526
0.465 0.324 0.025
0.467 0.176 0.240
0.470 0.314 0.738
0.486 0.139 0.635
0.491 0.376 0.133
0.493 0.364 0.420
0.498 0.155 0.919
0.504 0.656 0.571
0.504 0.877 0.072
0.514 0.646 0.856
0.514 0.892 0.355
0.525 0.856 0.748
0.535 0.703 0.251
0.538 0.706 0.965
0.541 0.859 0.465
0.639 0.144 0.133
0.641 0.525 0.632
0.651 0.521 0.919
0.656 0.159 0.419
0.690 0.178 0.738
0.693 0.546 0.239
0.694 0.552 0.524
0.695 0.173 0.025
0.791 0.826 0.192
0.801 0.992 0.691
0.808 0.846 0.906
0.812 0.997 0.404
0.819 0.804 0.297
0.824 0.042 0.799
0.831 0.821 0.585
0.834 0.044 0.083
0.834 0.321 0.239
0.836 0.542 0.739
0.846 0.549 0.024
0.851 0.322 0.522
0.862 0.516 0.421
0.866 0.367 0.919
0.870 0.373 0.631
0.873 0.520 0.132
0.973 0.808 0.799
0.978 0.184 0.584
0.978 0.194 0.299
0.979 0.821 0.085
```

---

Below is crystalline Re24Mo5 at its relaxed geometry, with properties calculated at the PBE-GGA level.

Computed properties:
**Formation energy**: -0.0138 eV/atom

Cell and atoms, written as POSCAR:
```
Re24Mo5
1.0
-4.827 4.827 4.827
4.827 -4.827 4.827
4.827 4.827 -4.827
Re Mo
24 5
direct
0.000 0.193 0.375
0.000 0.375 0.193
0.000 0.401 0.685
0.000 0.685 0.401
0.182 0.807 0.807
0.193 0.000 0.375
0.193 0.375 0.000
0.283 0.599 0.599
0.315 0.315 0.717
0.315 0.717 0.315
0.375 0.000 0.193
0.375 0.193 0.000
0.401 0.000 0.685
0.401 0.685 0.000
0.599 0.283 0.599
0.599 0.599 0.283
0.625 0.625 0.818
0.625 0.818 0.625
0.685 0.000 0.401
0.685 0.401 0.000
0.717 0.315 0.315
0.807 0.182 0.807
0.807 0.807 0.182
0.818 0.625 0.625
0.000 0.000 0.000
0.000 0.000 0.641
0.000 0.641 0.000
0.359 0.359 0.359
0.641 0.000 0.000
```

---

Below is crystalline Ba10Ho5Cu15O33 at its relaxed geometry, with properties calculated at the PBE-GGA level.

Computed properties:
**Total moment**: 1.22 μB per formula unit
**Corrected total energy (MP2020 scheme)**: -0.2368 hartree per atom
**Formation energy**: -2.2082 eV/atom

Cell and atoms, written as POSCAR:
```
Ba10Ho5Cu15O33
1.0
5.507 0.000 0.000
-0.162 13.143 0.000
-2.347 -5.760 12.493
Ba Ho Cu O
10 5 15 33
direct
0.036 0.182 0.073
0.156 0.809 0.326
0.233 0.191 0.478
0.355 0.810 0.728
0.431 0.189 0.880
0.569 0.811 0.120
0.645 0.190 0.272
0.767 0.809 0.522
0.844 0.191 0.674
0.964 0.818 0.927
0.100 0.499 0.199
0.301 0.500 0.600
0.500 0.500 0.000
0.699 0.500 0.400
0.900 0.501 0.801
0.029 0.641 0.057
0.080 0.000 0.194
0.173 0.358 0.343
0.229 0.641 0.457
0.286 0.000 0.595
0.373 0.359 0.744
0.429 0.643 0.857
0.500 0.000 0.000
0.571 0.357 0.143
0.627 0.641 0.256
0.714 0.000 0.405
0.771 0.359 0.543
0.827 0.642 0.657
0.920 0.000 0.806
0.971 0.359 0.943
0.000 0.000 0.500
0.024 0.619 0.547
0.076 0.378 0.651
0.091 0.847 0.146
0.124 0.620 0.747
0.152 0.153 0.268
0.176 0.381 0.852
0.214 0.000 0.902
0.224 0.618 0.947
0.275 0.380 0.051
0.291 0.848 0.546
0.324 0.620 0.148
0.352 0.152 0.668
0.377 0.382 0.253
0.424 0.619 0.348
0.468 0.840 0.936
0.476 0.380 0.452
0.524 0.620 0.548
0.532 0.160 0.064
0.576 0.381 0.652
0.623 0.618 0.747
0.648 0.848 0.332
0.676 0.380 0.852
0.709 0.152 0.454
0.725 0.620 0.949
0.776 0.382 0.053
0.786 0.000 0.098
0.824 0.619 0.148
0.848 0.847 0.732
0.876 0.380 0.253
0.909 0.153 0.854
0.924 0.622 0.349
0.976 0.381 0.453
```